# 1
The following is a DFT calculation (PBE) of a relaxed RbB6H18N4 crystal.

a b c (Å): 8.072 15.061 9.833
angles (deg): 90.00 90.00 90.00
Sites, in units of the cell vectors:
1 B 0.794 0.478 0.000
2 B 0.294 0.022 0.500
3 B 0.420 0.041 0.354
4 B 0.054 0.609 0.000
5 B 0.080 0.541 0.146
6 B 0.122 0.430 0.091
7 B 0.554 0.891 0.500
8 B 0.622 0.070 0.409
9 B 0.580 0.959 0.646
10 B 0.920 0.459 0.146
11 B 0.878 0.570 0.091
12 B 0.122 0.430 0.909
13 B 0.080 0.541 0.854
14 B 0.706 0.978 0.500
15 B 0.920 0.459 0.854
16 B 0.206 0.522 0.000
17 B 0.946 0.391 0.000
18 B 0.420 0.041 0.646
19 B 0.580 0.959 0.354
20 B 0.378 0.930 0.409
21 B 0.378 0.930 0.591
22 B 0.622 0.070 0.591
23 B 0.878 0.570 0.909
24 B 0.446 0.109 0.500
25 H 0.645 0.064 0.083
26 H 0.464 0.764 0.754
27 H 0.638 0.930 0.250
28 H 0.208 0.381 0.157
29 H 0.862 0.430 0.750
30 H 0.292 0.881 0.657
31 H 0.853 0.963 0.500
32 H 0.135 0.175 0.084
33 H 0.557 0.696 0.140
34 H 0.362 0.070 0.750
35 H 0.910 0.313 0.000
36 H 0.145 0.436 0.417
37 H 0.355 0.936 0.083
38 H 0.354 0.697 0.851
39 H 0.635 0.325 0.416
40 H 0.635 0.325 0.584
41 H 0.057 0.804 0.360
42 H 0.792 0.619 0.157
43 H 0.279 0.852 0.000
44 H 0.647 0.463 0.000
45 H 0.721 0.148 0.000
46 H 0.854 0.803 0.649
47 H 0.865 0.825 0.084
48 H 0.862 0.430 0.250
49 H 0.145 0.436 0.583
50 H 0.208 0.381 0.843
51 H 0.355 0.936 0.917
52 H 0.146 0.197 0.649
53 H 0.365 0.675 0.416
54 H 0.854 0.803 0.351
55 H 0.443 0.304 0.140
56 H 0.090 0.687 0.000
57 H 0.292 0.881 0.343
58 H 0.036 0.264 0.746
59 H 0.590 0.813 0.500
60 H 0.536 0.236 0.246
61 H 0.708 0.119 0.657
62 H 0.711 0.871 0.000
63 H 0.365 0.675 0.584
64 H 0.221 0.352 0.500
65 H 0.646 0.303 0.149
66 H 0.943 0.196 0.360
67 H 0.789 0.371 0.500
68 H 0.036 0.264 0.254
69 H 0.354 0.697 0.149
70 H 0.057 0.804 0.640
71 H 0.410 0.187 0.500
72 H 0.135 0.175 0.916
73 H 0.147 0.037 0.500
74 H 0.464 0.764 0.246
75 H 0.443 0.304 0.860
76 H 0.557 0.696 0.860
77 H 0.536 0.236 0.754
78 H 0.943 0.196 0.640
79 H 0.362 0.070 0.250
80 H 0.638 0.930 0.750
81 H 0.289 0.129 0.000
82 H 0.855 0.564 0.417
83 H 0.779 0.648 0.500
84 H 0.138 0.570 0.250
85 H 0.865 0.825 0.916
86 H 0.645 0.064 0.917
87 H 0.353 0.537 0.000
88 H 0.138 0.570 0.750
89 H 0.708 0.119 0.343
90 H 0.964 0.736 0.254
91 H 0.855 0.564 0.583
92 H 0.211 0.629 0.500
93 H 0.146 0.197 0.351
94 H 0.964 0.736 0.746
95 H 0.792 0.619 0.843
96 H 0.646 0.303 0.851
97 N 0.836 0.862 0.000
98 N 0.214 0.420 0.500
99 N 0.664 0.362 0.500
100 N 0.959 0.799 0.706
101 N 0.959 0.799 0.294
102 N 0.714 0.080 0.000
103 N 0.541 0.299 0.206
104 N 0.786 0.580 0.500
105 N 0.041 0.201 0.294
106 N 0.541 0.299 0.794
107 N 0.286 0.920 0.000
108 N 0.336 0.638 0.500
109 N 0.459 0.701 0.206
110 N 0.459 0.701 0.794
111 N 0.041 0.201 0.706
112 N 0.164 0.138 0.000
113 Rb 0.000 0.000 0.199
114 Rb 0.500 0.500 0.301
115 Rb 0.000 0.000 0.801
116 Rb 0.500 0.500 0.699

Output
ΔE_f in eV/atom: -0.40
M_tot in μB/atom: 0.00
Calculated total energy in eV/atom: -5.02



# 2
The following is a DFT calculation (PBE) of a relaxed W2Se17Cl12 crystal.

a b c (Å): 11.934 13.778 13.928
angles (deg): 111.49 99.83 99.53
Sites, in units of the cell vectors:
1 Cl 0.976 0.824 0.961
2 Cl 0.033 0.274 0.853
3 Cl 0.786 0.872 0.109
4 Cl 0.692 0.702 0.854
5 Cl 0.569 0.310 0.352
6 Cl 0.464 0.876 0.546
7 Cl 0.194 0.760 0.389
8 Cl 0.683 0.610 0.040
9 Cl 0.317 0.390 0.960
10 Cl 0.611 0.386 0.611
11 Cl 0.806 0.240 0.611
12 Cl 0.389 0.614 0.389
13 Cl 0.159 0.583 0.494
14 Cl 0.214 0.128 0.891
15 Cl 0.967 0.726 0.147
16 Cl 0.024 0.176 0.039
17 Cl 0.243 0.843 0.654
18 Cl 0.841 0.417 0.506
19 Cl 0.536 0.124 0.454
20 Cl 0.431 0.690 0.648
21 Cl 0.117 0.438 0.106
22 Cl 0.308 0.298 0.146
23 Cl 0.883 0.562 0.894
24 Cl 0.757 0.157 0.346
25 Se 0.443 0.846 0.252
26 Se 0.235 0.071 0.488
27 Se 0.932 0.880 0.725
28 Se 0.737 0.100 0.783
29 Se 0.675 0.980 0.856
30 Se 0.390 0.649 0.964
31 Se 0.385 0.665 0.153
32 Se 0.263 0.900 0.217
33 Se 0.557 0.154 0.748
34 Se 0.690 0.624 0.350
35 Se 0.320 0.339 0.465
36 Se 0.874 0.690 0.624
37 Se 0.849 0.413 0.264
38 Se 0.310 0.376 0.650
39 Se 0.036 0.048 0.400
40 Se 0.478 0.832 0.985
41 Se 0.325 0.020 0.144
42 Se 0.681 0.093 0.035
43 Se 0.818 0.372 0.080
44 Se 0.765 0.929 0.512
45 Se 0.117 0.399 0.657
46 Se 0.615 0.335 0.847
47 Se 0.319 0.907 0.965
48 Se 0.068 0.120 0.275
49 Se 0.182 0.628 0.920
50 Se 0.126 0.310 0.376
51 Se 0.964 0.952 0.600
52 Se 0.883 0.601 0.343
53 Se 0.151 0.587 0.736
54 Se 0.746 0.808 0.342
55 Se 0.254 0.192 0.658
56 Se 0.522 0.168 0.015
57 Se 0.610 0.351 0.036
58 Se 0.680 0.661 0.535
59 W 0.166 0.284 0.000
60 W 0.686 0.271 0.479
61 W 0.834 0.716 0.000
62 W 0.314 0.729 0.521

Output
ΔE_f in eV/atom: -0.62
M_tot in μB/atom: 0.03
Calculated total energy in eV/atom: -3.85



# 3
The following is a DFT calculation (PBE) of a relaxed SrSi2Pd2 crystal.

a b c (Å): 5.865 5.865 5.865
angles (deg): 136.55 136.55 63.14
Sites, in units of the cell vectors:
1 Si 0.375 0.375 0.000
2 Si 0.625 0.625 0.000
3 Pd 0.250 0.750 0.500
4 Pd 0.750 0.250 0.500
5 Sr 0.000 0.000 0.000

Output
ΔE_f in eV/atom: -0.75
Calculated total energy in eV/atom: -5.33



# 4
The following is a DFT calculation (PBE) of a relaxed Pa3H crystal.

a b c (Å): 6.910 6.910 3.845
angles (deg): 90.00 90.00 120.00
Sites, in units of the cell vectors:
1 H 0.333 0.667 0.750
2 H 0.667 0.333 0.250
3 Pa 0.622 0.811 0.250
4 Pa 0.378 0.189 0.750
5 Pa 0.811 0.189 0.750
6 Pa 0.189 0.378 0.250
7 Pa 0.189 0.811 0.250
8 Pa 0.811 0.622 0.750

Output
ΔE_f in eV/atom: 0.50
M_tot in μB/atom: 0.14
Calculated total energy in eV/atom: -7.44